No. 1
Computed, not measured: a geometry-optimized Ho12Co5Bi structure at the PBE level of DFT.

a b c (Å): 8.2699 8.2699 8.2699
angles (deg): 110.82 110.80 106.83
Positions (direct):
Ho: 0.8176 0.7149 0.5325
Ho: 0.1824 0.2851 0.4675
Ho: 0.1824 0.7149 0.8973
Ho: 0.8176 0.2851 0.1027
Ho: 0.6882 0.3805 0.6923
Ho: 0.3118 0.6195 0.3077
Ho: 0.6882 0.9960 0.3077
Ho: 0.3118 0.0040 0.6923
Ho: 0.5934 0.7895 0.8039
Ho: 0.4066 0.2105 0.1961
Ho: 0.9856 0.7895 0.1961
Ho: 0.0144 0.2105 0.8039
Co: 0.6248 0.0000 0.6248
Co: 0.3752 0.0000 0.3752
Co: 0.1121 0.6121 0.5000
Co: 0.8879 0.3879 0.5000
Co: 0.0000 0.0000 0.0000
Bi: 0.5000 0.5000 0.0000

Values from the calculation:
Density in Mg/m³: 9.48
Space group: Immm
Formation energy in kJ/mol of atoms: -28.17
VASP energy in eV per formula unit: -99.677

***

No. 2
Computed, not measured: a geometry-optimized Ho5CoBi2 structure at the PBE level of DFT.

a b c (Å): 7.9407 8.8476 12.3218
angles (deg): 90.00 90.00 90.00
Positions (direct):
Ho: 0.3451 0.7500 0.6999
Ho: 0.6549 0.2500 0.3001
Ho: 0.8451 0.2500 0.8001
Ho: 0.1549 0.7500 0.1999
Ho: 0.8856 0.7500 0.8108
Ho: 0.1144 0.2500 0.1892
Ho: 0.3856 0.2500 0.6892
Ho: 0.6144 0.7500 0.3108
Ho: 0.6756 0.5384 0.5629
Ho: 0.3244 0.4616 0.4371
Ho: 0.1756 0.4616 0.9371
Ho: 0.3244 0.0384 0.4371
Ho: 0.8244 0.5384 0.0629
Ho: 0.6756 0.9616 0.5629
Ho: 0.8244 0.9616 0.0629
Ho: 0.1756 0.0384 0.9371
Ho: 0.0535 0.7500 0.4981
Ho: 0.9465 0.2500 0.5019
Ho: 0.5535 0.2500 0.0019
Ho: 0.4465 0.7500 0.9981
Co: 0.0679 0.7500 0.9915
Co: 0.9321 0.2500 0.0085
Co: 0.5679 0.2500 0.5085
Co: 0.4321 0.7500 0.4915
Bi: 0.5714 0.5104 0.8263
Bi: 0.4286 0.4896 0.1737
Bi: 0.0714 0.4896 0.6737
Bi: 0.4286 0.0104 0.1737
Bi: 0.9286 0.5104 0.3263
Bi: 0.5714 0.9896 0.8263
Bi: 0.9286 0.9896 0.3263
Bi: 0.0714 0.0104 0.6737

Values from the calculation:
Density in Mg/m³: 9.99
Space group: Pnma
Formation energy in kJ/mol of atoms: -52.74
VASP energy in eV per formula unit: -42.173

***

No. 3
Computed, not measured: a geometry-optimized La6Co13Bi structure at the PBE level of DFT.

a b c (Å): 12.9734 12.9734 12.9734
angles (deg): 143.57 143.57 52.46
Positions (direct):
La: 0.5993 0.5993 0.0000
La: 0.0993 0.0993 0.0000
La: 0.4007 0.4007 0.0000
La: 0.9007 0.9007 0.0000
La: 0.4808 0.9808 0.8192
La: 0.1617 0.6617 0.1808
La: 0.9808 0.1617 0.5000
La: 0.6617 0.4808 0.5000
La: 0.5192 0.0192 0.1808
La: 0.8383 0.3383 0.8192
La: 0.0192 0.8383 0.5000
La: 0.3383 0.5192 0.5000
Co: 0.5000 0.0000 0.5000
Co: 0.0000 0.5000 0.5000
Co: 0.5652 0.7131 0.2784
Co: 0.4348 0.2869 0.7216
Co: 0.0652 0.7869 0.8521
Co: 0.9348 0.2131 0.1479
Co: 0.2869 0.5652 0.8521
Co: 0.7131 0.4348 0.1479
Co: 0.2131 0.0652 0.2784
Co: 0.7869 0.9348 0.7216
Co: 0.6210 0.1210 0.8533
Co: 0.2676 0.7676 0.1467
Co: 0.1210 0.2676 0.5000
Co: 0.7676 0.6210 0.5000
Co: 0.3790 0.8790 0.1467
Co: 0.7324 0.2324 0.8533
Co: 0.8790 0.7324 0.5000
Co: 0.2324 0.3790 0.5000
Co: 0.7977 0.2977 0.2714
Co: 0.0263 0.5263 0.7286
Co: 0.2977 0.0263 0.5000
Co: 0.5263 0.7977 0.5000
Co: 0.2023 0.7023 0.7286
Co: 0.9737 0.4737 0.2714
Co: 0.7023 0.9737 0.5000
Co: 0.4737 0.2023 0.5000
Bi: 0.2500 0.2500 0.0000
Bi: 0.7500 0.7500 0.0000

Values from the calculation:
Density in Mg/m³: 7.85
Space group: I4/mcm
Formation energy in kJ/mol of atoms: -16.86
VASP energy in eV per formula unit: -129.409

***

No. 4
Computed, not measured: a geometry-optimized Mg14CoBi structure at the PBE level of DFT.

a b c (Å): 6.2755 6.3058 10.1576
angles (deg): 90.00 90.00 120.16
Positions (direct):
Mg: 0.1663 0.3332 0.6250
Mg: 0.1692 0.8346 0.6250
Mg: 0.6693 0.3358 0.1250
Mg: 0.6662 0.3304 0.6250
Mg: 0.6693 0.8334 0.1250
Mg: 0.6662 0.8358 0.6250
Mg: 0.3301 0.1761 0.3670
Mg: 0.3301 0.1761 0.8830
Mg: 0.3301 0.6540 0.3670
Mg: 0.3301 0.6540 0.8830
Mg: 0.8448 0.1724 0.3644
Mg: 0.8448 0.1724 0.8856
Mg: 0.8296 0.6648 0.3823
Mg: 0.8296 0.6648 0.8677
Co: 0.1646 0.3323 0.1250
Bi: 0.1596 0.8298 0.1250

Values from the calculation:
Density in Mg/m³: 2.91
Space group: Amm2
Formation energy in kJ/mol of atoms: 5.02
VASP energy in eV per formula unit: -32.569

***

No. 5
Computed, not measured: a geometry-optimized Mg6CoBi structure at the PBE level of DFT.

a b c (Å): 4.8501 6.2996 11.0628
angles (deg): 90.00 90.00 90.00
Positions (direct):
Mg: 0.0000 0.2344 0.0716
Mg: 0.0000 0.7656 0.0716
Mg: 0.0000 0.0000 0.3324
Mg: 0.5000 0.7335 0.4094
Mg: 0.5000 0.2665 0.4094
Mg: 0.5000 0.0000 0.1698
Mg: 0.0000 0.7344 0.5716
Mg: 0.0000 0.2656 0.5716
Mg: 0.0000 0.5000 0.8324
Mg: 0.5000 0.2335 0.9094
Mg: 0.5000 0.7665 0.9094
Mg: 0.5000 0.5000 0.6698
Co: 0.0000 0.5000 0.3647
Co: 0.0000 0.0000 0.8647
Bi: 0.5000 0.5000 0.1711
Bi: 0.5000 0.0000 0.6711

Values from the calculation:
Density in Mg/m³: 4.07
Formation energy in kJ/mol of atoms: 8.81
VASP energy in eV per formula unit: -19.869

***

No. 6
Computed, not measured: a geometry-optimized Mg6CoBi structure at the PBE level of DFT.

a b c (Å): 4.8661 6.3828 10.8645
angles (deg): 90.00 90.00 90.00
Positions (direct):
Mg: 0.5000 0.2471 0.5843
Mg: 0.5000 0.7529 0.5843
Mg: 0.0000 0.2731 0.4142
Mg: 0.0000 0.7269 0.4142
Mg: 0.0000 0.0000 0.6751
Mg: 0.0000 0.0000 0.1597
Mg: 0.5000 0.7471 0.0843
Mg: 0.5000 0.2529 0.0843
Mg: 0.0000 0.7731 0.9142
Mg: 0.0000 0.2269 0.9142
Mg: 0.0000 0.5000 0.1751
Mg: 0.0000 0.5000 0.6597
Co: 0.5000 0.0000 0.8351
Co: 0.5000 0.5000 0.3351
Bi: 0.5000 0.0000 0.3331
Bi: 0.5000 0.5000 0.8331

Values from the calculation:
Density in Mg/m³: 4.07
Formation energy in kJ/mol of atoms: 10.59
VASP energy in eV per formula unit: -19.722

***

No. 7
Computed, not measured: a geometry-optimized Mg14CoBi structure at the PBE level of DFT.

a b c (Å): 6.2609 6.2609 10.3172
angles (deg): 90.00 90.00 120.00
Positions (direct):
Mg: 0.1584 0.8292 0.1250
Mg: 0.1681 0.8341 0.6250
Mg: 0.6708 0.3416 0.1250
Mg: 0.6659 0.3319 0.6250
Mg: 0.6708 0.8292 0.1250
Mg: 0.6659 0.8341 0.6250
Mg: 0.3280 0.1720 0.3515
Mg: 0.3280 0.1720 0.8985
Mg: 0.3280 0.6561 0.3515
Mg: 0.3280 0.6561 0.8985
Mg: 0.8439 0.1720 0.3515
Mg: 0.8439 0.1720 0.8985
Mg: 0.8333 0.6667 0.3758
Mg: 0.8333 0.6667 0.8742
Co: 0.1667 0.3333 0.1250
Bi: 0.1667 0.3333 0.6250

Values from the calculation:
Density in Mg/m³: 2.88
Space group: P-6m2
Formation energy in kJ/mol of atoms: 4.85
VASP energy in eV per formula unit: -32.599

***

No. 8
Computed, not measured: a geometry-optimized Co3Bi3N5 structure at the PBE level of DFT.

a b c (Å): 5.5851 7.9961 8.2418
angles (deg): 105.39 105.50 102.81
Positions (direct):
Co: 0.9833 0.3196 0.0115
Co: 0.0167 0.6804 0.9885
Co: 0.6764 0.9794 0.6165
Co: 0.3236 0.0206 0.3835
Co: 0.1262 0.9670 0.7226
Co: 0.8738 0.0330 0.2774
Bi: 0.8035 0.5141 0.6185
Bi: 0.1965 0.4859 0.3815
Bi: 0.6006 0.8422 0.8732
Bi: 0.3994 0.1578 0.1268
Bi: 0.6575 0.6493 0.2378
Bi: 0.3425 0.3507 0.7622
N: 0.9724 0.1556 0.7954
N: 0.0276 0.8444 0.2046
N: 0.8331 0.7834 0.5681
N: 0.1669 0.2166 0.4319
N: 0.7813 0.4704 0.0093
N: 0.2187 0.5296 0.9907
N: 0.3706 0.0126 0.6235
N: 0.6294 0.9874 0.3765
N: 0.2061 0.8672 0.9142
N: 0.7939 0.1328 0.0858

Values from the calculation:
Density in Mg/m³: 8.94
Space group: P-1
Formation energy in kJ/mol of atoms: 37.48
VASP energy in eV per formula unit: -68.600

***

No. 9
Computed, not measured: a geometry-optimized Co3Bi2N4 structure at the PBE level of DFT.

a b c (Å): 6.6470 10.1375 5.9188
angles (deg): 90.00 88.70 139.69
Positions (direct):
Co: 0.2414 0.9215 0.1410
Co: 0.7586 0.6801 0.3590
Co: 0.7586 0.0785 0.8590
Co: 0.2414 0.3199 0.6410
Co: 0.0000 0.7666 0.7500
Co: 0.0000 0.2334 0.2500
Bi: 0.5654 0.2339 0.5804
Bi: 0.4346 0.6685 0.9196
Bi: 0.4346 0.7661 0.4196
Bi: 0.5654 0.3315 0.0804
N: 0.1771 0.8934 0.4532
N: 0.8229 0.7162 0.0468
N: 0.8229 0.1066 0.5468
N: 0.1771 0.2838 0.9532
N: 0.6782 0.1478 0.1070
N: 0.3218 0.4697 0.3930
N: 0.3218 0.8522 0.8930
N: 0.6782 0.5303 0.6070

Values from the calculation:
Density in Mg/m³: 8.38
Space group: C2/c
Formation energy in kJ/mol of atoms: 35.38
VASP energy in eV per formula unit: -57.707

***

No. 10
Computed, not measured: a geometry-optimized Tb5CoBi2 structure at the PBE level of DFT.

a b c (Å): 8.0572 8.9112 12.4267
angles (deg): 90.00 90.00 90.00
Positions (direct):
Tb: 0.8474 0.7500 0.8017
Tb: 0.1526 0.2500 0.1983
Tb: 0.3474 0.2500 0.6983
Tb: 0.6526 0.7500 0.3017
Tb: 0.3787 0.7500 0.6897
Tb: 0.6213 0.2500 0.3103
Tb: 0.8787 0.2500 0.8103
Tb: 0.1213 0.7500 0.1897
Tb: 0.9557 0.7500 0.5024
Tb: 0.0443 0.2500 0.4976
Tb: 0.4557 0.2500 0.9976
Tb: 0.5443 0.7500 0.0024
Tb: 0.6762 0.0332 0.5620
Tb: 0.3238 0.9668 0.4380
Tb: 0.1762 0.9668 0.9380
Tb: 0.3238 0.5332 0.4380
Tb: 0.8238 0.0332 0.0620
Tb: 0.6762 0.4668 0.5620
Tb: 0.8238 0.4668 0.0620
Tb: 0.1762 0.5332 0.9380
Co: 0.5597 0.7500 0.5084
Co: 0.4403 0.2500 0.4916
Co: 0.0597 0.2500 0.9916
Co: 0.9403 0.7500 0.0084
Bi: 0.5699 0.4927 0.8258
Bi: 0.4301 0.5073 0.1742
Bi: 0.0699 0.5073 0.6742
Bi: 0.4301 0.9927 0.1742
Bi: 0.9301 0.4927 0.3258
Bi: 0.5699 0.0073 0.8258
Bi: 0.9301 0.0073 0.3258
Bi: 0.0699 0.9927 0.6742

Values from the calculation:
Density in Mg/m³: 9.47
Space group: Pnma
Formation energy in kJ/mol of atoms: -53.60
VASP energy in eV per formula unit: -42.504

***

No. 11
Computed, not measured: a geometry-optimized Ti4CoBi2 structure at the PBE level of DFT.

a b c (Å): 7.8782 7.8782 7.8782
angles (deg): 95.48 95.48 143.99
Positions (direct):
Ti: 0.6928 0.5804 0.2732
Ti: 0.5804 0.3072 0.8875
Ti: 0.0804 0.1928 0.2732
Ti: 0.9196 0.8072 0.7268
Ti: 0.1928 0.9196 0.1125
Ti: 0.8072 0.0804 0.8875
Ti: 0.3072 0.4196 0.7268
Ti: 0.4196 0.6928 0.1125
Co: 0.2500 0.2500 0.0000
Co: 0.7500 0.7500 0.0000
Bi: 0.1392 0.6392 0.7783
Bi: 0.3608 0.1392 0.5000
Bi: 0.6392 0.8608 0.5000
Bi: 0.8608 0.3608 0.2217

Values from the calculation:
Density in Mg/m³: 8.12
Space group: I4/mcm
Formation energy in kJ/mol of atoms: -30.01
VASP energy in eV per formula unit: -48.648

***

No. 12
Computed, not measured: a geometry-optimized TlCoBi structure at the PBE level of DFT.

a b c (Å): 4.9074 4.9074 4.9074
angles (deg): 60.00 60.00 60.00
Positions (direct):
Tl: 0.5000 0.5000 0.5000
Co: 0.0000 0.0000 0.0000
Bi: 0.2500 0.2500 0.2500

Values from the calculation:
Density in Mg/m³: 9.38
Space group: F-43m
Formation energy in kJ/mol of atoms: 81.39
VASP energy in eV per formula unit: -10.830

***

No. 13
Computed, not measured: a geometry-optimized Y12Co5Bi structure at the PBE level of DFT.

a b c (Å): 8.3830 8.3830 8.3830
angles (deg): 110.74 110.60 107.10
Positions (direct):
Y: 0.2887 0.1829 0.4716
Y: 0.7113 0.8171 0.5284
Y: 0.2887 0.8171 0.1058
Y: 0.7113 0.1829 0.8942
Y: 0.6210 0.3116 0.3094
Y: 0.3790 0.6884 0.6906
Y: 0.0022 0.3116 0.6906
Y: 0.9978 0.6884 0.3094
Y: 0.2069 0.4020 0.1951
Y: 0.7931 0.5980 0.8049
Y: 0.2069 0.0118 0.8049
Y: 0.7931 0.9882 0.1951
Co: 0.0000 0.3792 0.3792
Co: 0.0000 0.6208 0.6208
Co: 0.3902 0.8902 0.5000
Co: 0.6098 0.1098 0.5000
Co: 0.0000 0.0000 0.0000
Bi: 0.5000 0.5000 0.0000

Values from the calculation:
Density in Mg/m³: 5.76
Space group: Immm
Formation energy in kJ/mol of atoms: -26.50
VASP energy in eV per formula unit: -121.973

***

No. 14
Computed, not measured: a geometry-optimized Zr6CoBi2 structure at the PBE level of DFT.

a b c (Å): 3.6695 7.9650 7.9650
angles (deg): 120.00 90.00 90.00
Positions (direct):
Zr: 0.5000 0.7643 0.7643
Zr: 0.5000 0.0000 0.2357
Zr: 0.5000 0.2357 0.0000
Zr: 0.0000 0.3913 0.3913
Zr: 0.0000 0.0000 0.6087
Zr: 0.0000 0.6087 0.0000
Co: 0.0000 0.0000 0.0000
Bi: 0.5000 0.6667 0.3333
Bi: 0.5000 0.3333 0.6667

Values from the calculation:
Density in Mg/m³: 8.44
Space group: P-62m
Formation energy in kJ/mol of atoms: -34.26
VASP energy in eV per formula unit: -69.370

***

No. 15
Computed, not measured: a geometry-optimized CrBi structure at the PBE level of DFT.

a b c (Å): 7.5646 4.1056 6.5253
angles (deg): 89.78 90.00 90.00
Positions (direct):
Cr: 0.9267 0.2734 0.6764
Cr: 0.4267 0.7266 0.8236
Cr: 0.0733 0.7266 0.3236
Cr: 0.5733 0.2734 0.1764
Bi: 0.2874 0.2278 0.5329
Bi: 0.7874 0.7722 0.9671
Bi: 0.7126 0.7722 0.4671
Bi: 0.2126 0.2278 0.0329

Values from the calculation:
Density in Mg/m³: 8.55
Space group: P2_1/c
Formation energy in kJ/mol of atoms: 58.80
VASP energy in eV per formula unit: -12.324

***

No. 16
Computed, not measured: a geometry-optimized Mg6CrBi structure at the PBE level of DFT.

a b c (Å): 5.2071 6.3394 11.0354
angles (deg): 90.00 90.00 90.00
Positions (direct):
Mg: 0.5000 0.7490 0.9163
Mg: 0.5000 0.2510 0.9163
Mg: 0.0000 0.2609 0.5824
Mg: 0.0000 0.7391 0.5824
Mg: 0.0000 0.5000 0.8304
Mg: 0.0000 0.0000 0.8378
Mg: 0.5000 0.2490 0.4163
Mg: 0.5000 0.7510 0.4163
Mg: 0.0000 0.7609 0.0824
Mg: 0.0000 0.2391 0.0824
Mg: 0.0000 0.0000 0.3304
Mg: 0.0000 0.5000 0.3378
Cr: 0.5000 0.5000 0.6668
Cr: 0.5000 0.0000 0.1668
Bi: 0.5000 0.0000 0.6675
Bi: 0.5000 0.5000 0.1675

Values from the calculation:
Density in Mg/m³: 3.71
Formation energy in kJ/mol of atoms: 9.64
VASP energy in eV per formula unit: -22.345